[1]
{"formula": "LaCu3Ru4O12", "functional": "GGA-PBE", "state": "optimized geometry", "lattice_angstrom": [[-3.773, 3.773, 3.773], [3.773, -3.773, 3.773], [3.773, 3.773, -3.773]], "species": ["La", "Cu", "Cu", "Cu", "Ru", "Ru", "Ru", "Ru", "O", "O", "O", "O", "O", "O", "O", "O", "O", "O", "O", "O"], "frac_coords": [[0.000, 0.000, 0.000], [0.000, 0.500, 0.500], [0.500, 0.000, 0.500], [0.500, 0.500, 0.000], [0.000, 0.000, 0.500], [0.000, 0.500, 0.000], [0.500, 0.000, 0.000], [0.500, 0.500, 0.500], [0.133, 0.827, 0.306], [0.173, 0.306, 0.479], [0.173, 0.694, 0.867], [0.306, 0.133, 0.827], [0.306, 0.479, 0.173], [0.479, 0.173, 0.306], [0.521, 0.827, 0.694], [0.694, 0.521, 0.827], [0.694, 0.867, 0.173], [0.827, 0.306, 0.133], [0.827, 0.694, 0.521], [0.867, 0.173, 0.694]], "magmom_total_mub_per_cell": 3.45, "total_energy_ev_per_cell": -136.849, "ef_ev_per_atom": -1.569}


[2]
{"formula": "SrLaCuRuO6", "functional": "GGA-PBE", "state": "optimized geometry", "lattice_angstrom": [[5.703, 0.000, 0.000], [0.000, 5.812, 0.000], [-5.678, 0.000, 7.709]], "species": ["Sr", "Sr", "La", "La", "Cu", "Cu", "Ru", "Ru", "O", "O", "O", "O", "O", "O", "O", "O", "O", "O", "O", "O"], "frac_coords": [[0.000, 0.217, 0.000], [0.000, 0.783, 0.500], [0.513, 0.304, 0.499], [0.513, 0.696, 0.999], [0.256, 0.235, 0.749], [0.256, 0.765, 0.249], [0.754, 0.241, 0.251], [0.754, 0.759, 0.751], [0.096, 0.232, 0.501], [0.096, 0.768, 0.001], [0.437, 0.277, 0.001], [0.437, 0.723, 0.501], [0.516, 0.053, 0.297], [0.516, 0.947, 0.797], [0.590, 0.489, 0.795], [0.590, 0.511, 0.295], [0.898, 0.040, 0.709], [0.898, 0.960, 0.209], [0.987, 0.455, 0.215], [0.987, 0.545, 0.715]], "magmom_total_mub_per_cell": 4.00, "total_energy_ev_per_cell": -137.821, "ef_ev_per_atom": -2.335, "polymorph_energy_mev_per_atom": 0}